The following is a PBE calculation of an optimized crystal structure of BeCu, from Materials Project.

Output
Crystal system: cubic
Energy, eV/f.u.: -8.0

Geometry as CIF:
```
data_BeCu
_cell_length_a 2.688
_cell_length_b 2.688
_cell_length_c 2.688
_cell_angle_alpha 90.00
_cell_angle_beta 90.00
_cell_angle_gamma 90.00
_symmetry_space_group_name_H-M 'P m -3 m'
_symmetry_Int_Tables_number 221
_symmetry_space_group_name_Hall '-P 4 2 3'
loop_
_atom_site_label
_atom_site_fract_x
_atom_site_fract_y
_atom_site_fract_z
_atom_site_occupancy
Be1 0.000 0.000 0.000 1
Cu1 0.500 0.500 0.500 1
```

***

The following is a PBE calculation of an optimized crystal structure of Rb3PbCl5, from Materials Project.

Output
Crystal system: orthorhombic
Energy, eV/f.u.: -31.1

Geometry as CIF:
```
data_Rb3PbCl5
_cell_length_a 8.960
_cell_length_b 15.964
_cell_length_c 8.493
_cell_angle_alpha 90.00
_cell_angle_beta 90.00
_cell_angle_gamma 90.00
_symmetry_space_group_name_H-M 'P n m a'
_symmetry_Int_Tables_number 62
loop_
_symmetry_equiv_pos_as_xyz
'x,y,z'
'-x,-y,-z'
'-x+1/2,-y,z+1/2'
'x+1/2,y,-z+1/2'
'x+1/2,-y+1/2,-z+1/2'
'-x+1/2,y+1/2,z+1/2'
'-x,y+1/2,-z'
'x,-y+1/2,z'
loop_
_atom_site_label
_atom_site_fract_x
_atom_site_fract_y
_atom_site_fract_z
_atom_site_occupancy
Rb1 0.079 0.250 0.137 1
Rb2 0.238 0.046 0.467 1
Pb1 0.061 0.750 0.361 1
Cl1 0.045 0.114 0.824 1
Cl2 0.110 0.625 0.627 1
Cl3 0.223 0.250 0.521 1
```

***

The following is a PBE calculation of an optimized crystal structure of Al2SiO5, from Materials Project.

Output
Offset from the most stable computed form, meV/atom: 848
Crystal system: triclinic
Energy, eV/f.u.: -55.5

Geometry as CIF:
```
data_Al2SiO5
_cell_length_a 5.457
_cell_length_b 10.559
_cell_length_c 11.425
_cell_angle_alpha 103.44
_cell_angle_beta 98.48
_cell_angle_gamma 93.28
_symmetry_space_group_name_H-M 'P -1'
_symmetry_Int_Tables_number 2
loop_
_symmetry_equiv_pos_as_xyz
'x,y,z'
'-x,-y,-z'
loop_
_atom_site_label
_atom_site_fract_x
_atom_site_fract_y
_atom_site_fract_z
_atom_site_occupancy
Al1 0.043 0.251 0.394 1
Al2 0.116 0.002 0.306 1
Al3 0.138 0.288 0.677 1
Al4 0.443 0.878 0.713 1
Si1 0.377 0.812 0.231 1
Si2 0.408 0.390 0.943 1
O1 0.033 0.323 0.541 1
O2 0.075 0.705 0.743 1
O3 0.113 0.830 0.297 1
O4 0.148 0.923 0.659 1
O5 0.214 0.395 0.821 1
O6 0.308 0.154 0.372 1
O7 0.349 0.725 0.737 1
O8 0.353 0.697 0.108 1
O9 0.364 0.965 0.206 1
O10 0.389 0.188 0.667 1
```

***

The following is a PBE calculation of an optimized crystal structure of ZnTe, from Materials Project.

Output
Crystal system: orthorhombic
Energy, eV/f.u.: -4.8

Geometry as CIF:
```
data_ZnTe
_cell_length_a 5.541
_cell_length_b 6.715
_cell_length_c 5.435
_cell_angle_alpha 90.00
_cell_angle_beta 90.00
_cell_angle_gamma 90.00
_symmetry_space_group_name_H-M 'C m c m'
_symmetry_Int_Tables_number 63
_symmetry_space_group_name_Hall '-C 2c 2'
loop_
_atom_site_label
_atom_site_fract_x
_atom_site_fract_y
_atom_site_fract_z
_atom_site_occupancy
Zn1 0.000 0.130 0.250 1
Te1 0.000 0.275 0.750 1
```

***

no.,ΔH_f (0 K) (eV per atom),mass density (Mg/m³)
1,-0.10,6.20
2,-2.03,3.50
3,-2.53,1.71
4,-0.42,6.34